# BaSrTbVO6 (PBE with a Hubbard U, relaxed)
data_BaSrTbVO6
_symmetry_space_group_name_H-M 'P 1'
_symmetry_Int_Tables_number 1
_symmetry_space_group_name_Hall 'P 1'
_cell_length_a 5.873
_cell_length_b 5.873
_cell_length_c 5.873
_cell_angle_alpha 60.00
_cell_angle_beta 60.00
_cell_angle_gamma 60.00
loop_
_atom_site_label
_atom_site_type_symbol
_atom_site_fract_x
_atom_site_fract_y
_atom_site_fract_z
_atom_site_occupancy
Ba1 Ba 0.750 0.750 0.750 1
Sr1 Sr 0.250 0.250 0.250 1
Tb1 Tb 0.000 0.000 0.000 1
V1 V 0.500 0.500 0.500 1
O1 O 0.730 0.270 0.270 1
O2 O 0.270 0.730 0.730 1
O3 O 0.730 0.270 0.730 1
O4 O 0.270 0.730 0.270 1
O5 O 0.730 0.730 0.270 1
O6 O 0.270 0.270 0.730 1
# - Calculated volume: 143 Å³/cell
# - Crystal system: cubic
# - Magnetization: 0.00 μB/atom
# - Energy relative to the elements: -3.151 eV per atom
# - SG: F-43m, No. 216

---

# Ba2SrV2O8 (PBE with a Hubbard U, relaxed)
data_Ba2SrV2O8
_symmetry_space_group_name_H-M 'P 1'
_symmetry_Int_Tables_number 1
_symmetry_space_group_name_Hall 'P 1'
_cell_length_a 7.820
_cell_length_b 7.820
_cell_length_c 7.820
_cell_angle_alpha 43.92
_cell_angle_beta 43.92
_cell_angle_gamma 43.92
loop_
_atom_site_label
_atom_site_type_symbol
_atom_site_fract_x
_atom_site_fract_y
_atom_site_fract_z
_atom_site_occupancy
Ba1 Ba 0.204 0.204 0.204 1
Ba2 Ba 0.000 0.000 0.000 1
Sr1 Sr 0.795 0.795 0.795 1
V1 V 0.593 0.593 0.593 1
V2 V 0.408 0.408 0.408 1
O1 O 0.675 0.675 0.675 1
O2 O 0.327 0.327 0.327 1
O3 O 0.240 0.726 0.726 1
O4 O 0.726 0.726 0.240 1
O5 O 0.726 0.240 0.726 1
O6 O 0.761 0.272 0.272 1
O7 O 0.272 0.272 0.761 1
O8 O 0.272 0.761 0.272 1
# - Calculated volume: 209 Å³/cell
# - Crystal system: trigonal
# - Magnetization: 0.00 μB/atom
# - Energy relative to the elements: -3.009 eV per atom
# - SG: R3m, No. 160

---

# BaSrV4O12 (PBE with a Hubbard U, relaxed)
data_BaSrV4O12
_symmetry_space_group_name_H-M 'P 1'
_symmetry_Int_Tables_number 1
_symmetry_space_group_name_Hall 'P 1'
_cell_length_a 5.402
_cell_length_b 5.402
_cell_length_c 7.629
_cell_angle_alpha 90.00
_cell_angle_beta 90.00
_cell_angle_gamma 90.00
loop_
_atom_site_label
_atom_site_type_symbol
_atom_site_fract_x
_atom_site_fract_y
_atom_site_fract_z
_atom_site_occupancy
Ba1 Ba 0.500 0.500 0.000 1
Sr1 Sr 0.000 0.000 0.500 1
V1 V 0.000 0.500 0.748 1
V2 V 0.000 0.500 0.252 1
V3 V 0.500 0.000 0.748 1
V4 V 0.500 0.000 0.252 1
O1 O 0.248 0.248 0.255 1
O2 O 0.248 0.248 0.745 1
O3 O 0.752 0.752 0.745 1
O4 O 0.752 0.752 0.255 1
O5 O 0.752 0.248 0.745 1
O6 O 0.752 0.248 0.255 1
O7 O 0.248 0.752 0.745 1
O8 O 0.248 0.752 0.255 1
O9 O 0.000 0.500 0.500 1
O10 O 0.000 0.500 0.000 1
O11 O 0.500 0.000 0.500 1
O12 O 0.500 0.000 0.000 1
# - Calculated volume: 223 Å³/cell
# - Crystal system: tetragonal
# - Magnetization: 0.00 μB/atom
# - Energy relative to the elements: -2.472 eV per atom
# - SG: P4/mmm, No. 123

---

# Ba2SrWO6 (PBE with a Hubbard U, relaxed)
data_Ba2SrWO6
_symmetry_space_group_name_H-M 'P 1'
_symmetry_Int_Tables_number 1
_symmetry_space_group_name_Hall 'P 1'
_cell_length_a 6.116
_cell_length_b 6.116
_cell_length_c 6.214
_cell_angle_alpha 60.31
_cell_angle_beta 60.31
_cell_angle_gamma 60.09
loop_
_atom_site_label
_atom_site_type_symbol
_atom_site_fract_x
_atom_site_fract_y
_atom_site_fract_z
_atom_site_occupancy
Ba1 Ba 0.753 0.753 0.239 1
Ba2 Ba 0.247 0.247 0.761 1
Sr1 Sr 0.000 0.000 0.500 1
W1 W 0.500 0.500 0.000 1
O1 O 0.315 0.768 0.177 1
O2 O 0.232 0.685 0.823 1
O3 O 0.685 0.232 0.823 1
O4 O 0.768 0.315 0.177 1
O5 O 0.281 0.281 0.293 1
O6 O 0.719 0.719 0.707 1
# - Calculated volume: 165 Å³/cell
# - Crystal system: monoclinic
# - Magnetization: 0.00 μB/atom
# - Energy relative to the elements: -2.968 eV per atom
# - SG: C2/m, No. 12

---

# Ba2SrWO6 (PBE with a Hubbard U, relaxed)
data_Ba2SrWO6
_symmetry_space_group_name_H-M 'P 1'
_symmetry_Int_Tables_number 1
_symmetry_space_group_name_Hall 'P 1'
_cell_length_a 6.129
_cell_length_b 6.129
_cell_length_c 6.129
_cell_angle_alpha 60.96
_cell_angle_beta 60.96
_cell_angle_gamma 60.96
loop_
_atom_site_label
_atom_site_type_symbol
_atom_site_fract_x
_atom_site_fract_y
_atom_site_fract_z
_atom_site_occupancy
Ba1 Ba 0.747 0.747 0.747 1
Ba2 Ba 0.253 0.253 0.253 1
Sr1 Sr 0.000 0.000 0.000 1
W1 W 0.500 0.500 0.500 1
O1 O 0.782 0.286 0.661 1
O2 O 0.714 0.339 0.218 1
O3 O 0.286 0.661 0.782 1
O4 O 0.661 0.782 0.286 1
O5 O 0.339 0.218 0.714 1
O6 O 0.218 0.714 0.339 1
# - Calculated volume: 166 Å³/cell
# - Crystal system: trigonal
# - Magnetization: 0.00 μB/atom
# - Energy relative to the elements: -2.967 eV per atom
# - SG: R-3, No. 148

---

# Ba2SrWO6 (PBE with a Hubbard U, relaxed)
data_Ba2SrWO6
_symmetry_space_group_name_H-M 'P 1'
_symmetry_Int_Tables_number 1
_symmetry_space_group_name_Hall 'P 1'
_cell_length_a 8.725
_cell_length_b 8.725
_cell_length_c 8.725
_cell_angle_alpha 90.00
_cell_angle_beta 90.00
_cell_angle_gamma 90.00
loop_
_atom_site_label
_atom_site_type_symbol
_atom_site_fract_x
_atom_site_fract_y
_atom_site_fract_z
_atom_site_occupancy
Ba1 Ba 0.500 0.500 0.500 1
Ba2 Ba 0.000 0.000 0.000 1
Ba3 Ba 0.000 0.000 0.500 1
Ba4 Ba 0.000 0.500 0.000 1
Ba5 Ba 0.500 0.000 0.000 1
Ba6 Ba 0.500 0.500 0.000 1
Ba7 Ba 0.500 0.000 0.500 1
Ba8 Ba 0.000 0.500 0.500 1
Sr1 Sr 0.750 0.750 0.750 1
Sr2 Sr 0.750 0.250 0.250 1
Sr3 Sr 0.250 0.750 0.250 1
Sr4 Sr 0.250 0.250 0.750 1
W1 W 0.250 0.250 0.250 1
W2 W 0.250 0.750 0.750 1
W3 W 0.750 0.250 0.750 1
W4 W 0.750 0.750 0.250 1
O1 O 0.225 0.278 0.472 1
O2 O 0.225 0.722 0.528 1
O3 O 0.775 0.278 0.528 1
O4 O 0.775 0.722 0.472 1
O5 O 0.278 0.472 0.225 1
O6 O 0.722 0.528 0.225 1
O7 O 0.278 0.528 0.775 1
O8 O 0.722 0.472 0.775 1
O9 O 0.472 0.225 0.278 1
O10 O 0.528 0.225 0.722 1
O11 O 0.528 0.775 0.278 1
O12 O 0.472 0.775 0.722 1
O13 O 0.275 0.222 0.028 1
O14 O 0.275 0.778 0.972 1
O15 O 0.725 0.222 0.972 1
O16 O 0.725 0.778 0.028 1
O17 O 0.222 0.028 0.275 1
O18 O 0.778 0.972 0.275 1
O19 O 0.222 0.972 0.725 1
O20 O 0.778 0.028 0.725 1
O21 O 0.028 0.275 0.222 1
O22 O 0.972 0.275 0.778 1
O23 O 0.972 0.725 0.222 1
O24 O 0.028 0.725 0.778 1
# - Calculated volume: 664 Å³/cell
# - Crystal system: cubic
# - Magnetization: 0.00 μB/atom
# - Energy relative to the elements: -2.955 eV per atom
# - SG: Pn-3, No. 201